MgCo4O8 | PBE with a Hubbard U | optimized geometry Values from VASP.

Structure (Quantum ESPRESSO input):
```
&SYSTEM
  ibrav = 0, nat = 13, ntyp = 3
/
ATOMIC_SPECIES
Mg 24.30 Mg.upf
Co 58.93 Co.upf
O 16.00 O.upf
CELL_PARAMETERS angstrom
6.642 -1.426 0.000
6.642 1.426 0.000
-5.875 0.000 6.791
ATOMIC_POSITIONS crystal
Mg 0.000 0.000 0.000
Co 0.200 0.200 0.015
Co 0.508 0.508 0.650
Co 0.713 0.713 0.379
Co 0.994 0.994 0.308
O 0.131 0.131 0.755
O 0.185 0.185 0.485
O 0.209 0.209 0.237
O 0.484 0.484 0.429
O 0.515 0.515 0.176
O 0.559 0.559 0.907
O 0.813 0.813 0.083
O 0.891 0.891 0.581
```

Calculated values
Formation energy from the elements, kJ/mol of atoms: -133.31
Energy relative to the lowest polymorph listed for this composition, meV per atom: 43
Spin magnetization, μB per formula unit: 2.0

MgCo4O8 | PBE with a Hubbard U | optimized geometry Values from VASP.

Structure (Quantum ESPRESSO input):
```
&SYSTEM
  ibrav = 0, nat = 13, ntyp = 3
/
ATOMIC_SPECIES
Mg 24.30 Mg.upf
Co 58.93 Co.upf
O 16.00 O.upf
CELL_PARAMETERS angstrom
2.811 1.623 4.891
-2.811 1.623 4.891
0.000 -3.246 4.891
ATOMIC_POSITIONS crystal
Mg 0.000 0.000 0.000
Co 0.000 0.000 0.500
Co 0.000 0.500 0.000
Co 0.500 0.000 0.000
Co 0.500 0.500 0.500
O 0.228 0.739 0.739
O 0.229 0.229 0.229
O 0.261 0.261 0.772
O 0.261 0.772 0.261
O 0.739 0.228 0.739
O 0.739 0.739 0.228
O 0.771 0.771 0.771
O 0.772 0.261 0.261
```

Calculated values
Formation energy from the elements, kJ/mol of atoms: -137.42
Energy relative to the lowest polymorph listed for this composition, meV per atom: 0
Spin magnetization, μB per formula unit: 0.0

MgCo2O4 | PBE with a Hubbard U | optimized geometry Values from VASP.

Structure (Quantum ESPRESSO input):
```
&SYSTEM
  ibrav = 0, nat = 7, ntyp = 3
/
ATOMIC_SPECIES
Mg 24.30 Mg.upf
Co 58.93 Co.upf
O 16.00 O.upf
CELL_PARAMETERS angstrom
3.148 0.000 0.000
1.569 2.730 0.000
0.044 1.713 10.201
ATOMIC_POSITIONS crystal
Mg 0.000 0.000 0.000
Co 0.219 0.600 0.720
Co 0.711 0.587 0.281
O 0.303 0.398 0.894
O 0.402 0.201 0.342
O 0.700 0.598 0.106
O 0.873 0.291 0.659
```

Calculated values
Formation energy from the elements, kJ/mol of atoms: -156.41
Energy relative to the lowest polymorph listed for this composition, meV per atom: 226
Spin magnetization, μB per formula unit: 8.0

MgCo2O4 | PBE with a Hubbard U | optimized geometry Values from VASP.

Structure (Quantum ESPRESSO input):
```
&SYSTEM
  ibrav = 0, nat = 14, ntyp = 3
/
ATOMIC_SPECIES
Mg 24.30 Mg.upf
Co 58.93 Co.upf
O 16.00 O.upf
CELL_PARAMETERS angstrom
6.790 -1.433 0.000
6.790 1.433 0.000
-5.802 0.000 6.899
ATOMIC_POSITIONS crystal
Mg 0.172 0.172 0.160
Mg 0.828 0.828 0.840
Co 0.134 0.134 0.816
Co 0.353 0.353 0.522
Co 0.647 0.647 0.478
Co 0.866 0.866 0.184
O 0.041 0.041 0.315
O 0.279 0.279 0.642
O 0.336 0.336 0.005
O 0.368 0.368 0.320
O 0.632 0.632 0.680
O 0.664 0.664 0.995
O 0.721 0.721 0.358
O 0.959 0.959 0.685
```

Calculated values
Formation energy from the elements, kJ/mol of atoms: -156.62
Energy relative to the lowest polymorph listed for this composition, meV per atom: 224
Spin magnetization, μB per formula unit: 0.0

MgCo2O4 | PBE with a Hubbard U | optimized geometry Values from VASP.

Structure (Quantum ESPRESSO input):
```
&SYSTEM
  ibrav = 0, nat = 14, ntyp = 3
/
ATOMIC_SPECIES
Mg 24.30 Mg.upf
Co 58.93 Co.upf
O 16.00 O.upf
CELL_PARAMETERS angstrom
-2.859 2.859 4.550
2.859 -2.859 4.550
2.859 2.859 -4.550
ATOMIC_POSITIONS crystal
Mg 0.375 0.625 0.750
Mg 0.625 0.375 0.250
Co 0.000 0.000 0.000
Co 0.000 0.000 0.500
Co 0.000 0.500 0.000
Co 0.500 0.000 0.500
O 0.215 0.242 0.973
O 0.231 0.758 0.473
O 0.242 0.215 0.473
O 0.242 0.769 0.027
O 0.758 0.231 0.973
O 0.758 0.785 0.527
O 0.769 0.242 0.527
O 0.785 0.758 0.027
```

Calculated values
Formation energy from the elements, kJ/mol of atoms: -165.07
Energy relative to the lowest polymorph listed for this composition, meV per atom: 136
Spin magnetization, μB per formula unit: 0.0

MgCo4O8 | PBE with a Hubbard U | optimized geometry Values from VASP.

Structure (Quantum ESPRESSO input):
```
&SYSTEM
  ibrav = 0, nat = 13, ntyp = 3
/
ATOMIC_SPECIES
Mg 24.30 Mg.upf
Co 58.93 Co.upf
O 16.00 O.upf
CELL_PARAMETERS angstrom
2.881 1.663 4.956
-2.881 1.663 4.956
0.000 -3.327 4.956
ATOMIC_POSITIONS crystal
Mg 0.000 0.000 0.000
Co 0.034 0.546 0.546
Co 0.178 0.178 0.178
Co 0.546 0.034 0.546
Co 0.546 0.546 0.034
O 0.271 0.271 0.768
O 0.271 0.768 0.271
O 0.307 0.307 0.307
O 0.350 0.786 0.786
O 0.768 0.271 0.271
O 0.776 0.776 0.776
O 0.786 0.350 0.786
O 0.786 0.786 0.350
```

Calculated values
Formation energy from the elements, kJ/mol of atoms: -127.10
Energy relative to the lowest polymorph listed for this composition, meV per atom: 107
Spin magnetization, μB per formula unit: 6.0

MgCo2O4 | PBE with a Hubbard U | optimized geometry Values from VASP.

Structure (Quantum ESPRESSO input):
```
&SYSTEM
  ibrav = 0, nat = 14, ntyp = 3
/
ATOMIC_SPECIES
Mg 24.30 Mg.upf
Co 58.93 Co.upf
O 16.00 O.upf
CELL_PARAMETERS angstrom
-2.953 2.978 4.227
2.953 -2.978 4.227
2.953 2.978 -4.227
ATOMIC_POSITIONS crystal
Mg 0.000 0.000 0.000
Mg 0.500 0.000 0.500
Co 0.000 0.000 0.500
Co 0.000 0.500 0.000
Co 0.369 0.619 0.750
Co 0.631 0.381 0.250
O 0.235 0.229 0.494
O 0.235 0.741 0.006
O 0.238 0.248 0.990
O 0.242 0.752 0.490
O 0.758 0.248 0.510
O 0.762 0.752 0.010
O 0.765 0.259 0.994
O 0.765 0.771 0.506
```

Calculated values
Formation energy from the elements, kJ/mol of atoms: -166.02
Energy relative to the lowest polymorph listed for this composition, meV per atom: 126
Spin magnetization, μB per formula unit: 4.0

MgCo4O8 | PBE with a Hubbard U | optimized geometry Values from VASP.

Structure (Quantum ESPRESSO input):
```
&SYSTEM
  ibrav = 0, nat = 13, ntyp = 3
/
ATOMIC_SPECIES
Mg 24.30 Mg.upf
Co 58.93 Co.upf
O 16.00 O.upf
CELL_PARAMETERS angstrom
5.711 0.000 0.000
-0.023 5.755 0.000
-2.811 -2.888 4.141
ATOMIC_POSITIONS crystal
Mg 0.000 0.000 0.000
Co 0.000 0.000 0.500
Co 0.000 0.500 0.000
Co 0.000 0.500 0.500
Co 0.500 0.500 0.000
O 0.197 0.732 0.463
O 0.218 0.250 0.499
O 0.219 0.712 0.958
O 0.220 0.248 0.958
O 0.780 0.752 0.042
O 0.781 0.288 0.042
O 0.782 0.750 0.501
O 0.803 0.268 0.537
```

Calculated values
Formation energy from the elements, kJ/mol of atoms: -135.42
Energy relative to the lowest polymorph listed for this composition, meV per atom: 21
Spin magnetization, μB per formula unit: 6.0

MgCo4O8 | PBE with a Hubbard U | optimized geometry Values from VASP.

Structure (Quantum ESPRESSO input):
```
&SYSTEM
  ibrav = 0, nat = 13, ntyp = 3
/
ATOMIC_SPECIES
Mg 24.30 Mg.upf
Co 58.93 Co.upf
O 16.00 O.upf
CELL_PARAMETERS angstrom
0.000 4.116 4.116
4.116 0.000 4.116
4.116 4.116 0.000
ATOMIC_POSITIONS crystal
Mg 0.000 0.000 0.000
Co 0.130 0.623 0.623
Co 0.623 0.130 0.623
Co 0.623 0.623 0.130
Co 0.623 0.623 0.623
O 0.390 0.390 0.390
O 0.390 0.390 0.830
O 0.390 0.830 0.390
O 0.418 0.861 0.861
O 0.830 0.390 0.390
O 0.861 0.418 0.861
O 0.861 0.861 0.418
O 0.861 0.861 0.861
```

Calculated values
Formation energy from the elements, kJ/mol of atoms: -136.09
Energy relative to the lowest polymorph listed for this composition, meV per atom: 14
Spin magnetization, μB per formula unit: 2.0

MgCo2O4 | PBE with a Hubbard U | optimized geometry Values from VASP.

Structure (Quantum ESPRESSO input):
```
&SYSTEM
  ibrav = 0, nat = 14, ntyp = 3
/
ATOMIC_SPECIES
Mg 24.30 Mg.upf
Co 58.93 Co.upf
O 16.00 O.upf
CELL_PARAMETERS angstrom
0.000 4.082 4.082
4.082 0.000 4.082
4.082 4.082 0.000
ATOMIC_POSITIONS crystal
Mg 0.125 0.125 0.125
Mg 0.875 0.875 0.875
Co 0.000 0.500 0.500
Co 0.500 0.000 0.500
Co 0.500 0.500 0.000
Co 0.500 0.500 0.500
O 0.264 0.264 0.264
O 0.264 0.264 0.707
O 0.264 0.707 0.264
O 0.293 0.736 0.736
O 0.707 0.264 0.264
O 0.736 0.293 0.736
O 0.736 0.736 0.293
O 0.736 0.736 0.736
```

Calculated values
Formation energy from the elements, kJ/mol of atoms: -178.20
Energy relative to the lowest polymorph listed for this composition, meV per atom: 0

MgCo7O12 | PBE with a Hubbard U | optimized geometry Values from VASP.

Structure (Quantum ESPRESSO input):
```
&SYSTEM
  ibrav = 0, nat = 20, ntyp = 3
/
ATOMIC_SPECIES
Mg 24.30 Mg.upf
Co 58.93 Co.upf
O 16.00 O.upf
CELL_PARAMETERS angstrom
4.945 0.000 0.000
2.462 4.457 0.000
2.263 -0.240 9.502
ATOMIC_POSITIONS crystal
Mg 0.000 0.000 0.000
Co 0.135 0.297 0.735
Co 0.247 0.609 0.470
Co 0.255 0.003 0.243
Co 0.462 0.629 0.736
Co 0.695 0.621 0.003
Co 0.800 0.965 0.732
Co 0.948 0.633 0.245
O 0.008 0.300 0.134
O 0.046 0.668 0.867
O 0.187 0.923 0.625
O 0.191 0.343 0.346
O 0.278 0.701 0.126
O 0.406 0.959 0.843
O 0.494 0.319 0.631
O 0.539 0.687 0.350
O 0.664 0.919 0.131
O 0.757 0.315 0.856
O 0.888 0.602 0.626
O 0.951 0.918 0.357
```

Calculated values
Formation energy from the elements, kJ/mol of atoms: -118.60
Energy relative to the lowest polymorph listed for this composition, meV per atom: 10
Spin magnetization, μB per formula unit: 17.0

MgCo2P2O8 | PBE with a Hubbard U | optimized geometry Values from VASP.

Structure (Quantum ESPRESSO input):
```
&SYSTEM
  ibrav = 0, nat = 13, ntyp = 4
/
ATOMIC_SPECIES
Mg 24.30 Mg.upf
Co 58.93 Co.upf
P 30.97 P.upf
O 16.00 O.upf
CELL_PARAMETERS angstrom
4.125 -2.772 0.000
4.125 2.772 0.000
-0.480 0.000 6.517
ATOMIC_POSITIONS crystal
Mg 0.000 0.000 0.000
Co 0.500 0.500 0.000
Co 0.500 0.500 0.500
P 0.166 0.166 0.715
P 0.834 0.834 0.285
O 0.178 0.732 0.256
O 0.255 0.255 0.525
O 0.268 0.268 0.927
O 0.268 0.822 0.744
O 0.732 0.178 0.256
O 0.732 0.732 0.073
O 0.745 0.745 0.475
O 0.822 0.268 0.744
```

Calculated values
Formation energy from the elements, kJ/mol of atoms: -199.77
Energy relative to the lowest polymorph listed for this composition, meV per atom: 407
Spin magnetization, μB per formula unit: 6.0

MgCo4P8O28 | PBE with a Hubbard U | optimized geometry Values from VASP.

Structure (Quantum ESPRESSO input):
```
&SYSTEM
  ibrav = 0, nat = 41, ntyp = 4
/
ATOMIC_SPECIES
Mg 24.30 Mg.upf
Co 58.93 Co.upf
P 30.97 P.upf
O 16.00 O.upf
CELL_PARAMETERS angstrom
6.838 0.000 0.000
-0.052 8.077 0.000
-3.057 -0.035 8.929
ATOMIC_POSITIONS crystal
Mg 0.000 0.000 0.000
Co 0.445 0.888 0.535
Co 0.457 0.844 0.037
Co 0.888 0.347 0.540
Co 0.890 0.392 0.046
P 0.102 0.144 0.335
P 0.119 0.581 0.836
P 0.232 0.659 0.243
P 0.233 0.083 0.748
P 0.641 0.536 0.242
P 0.642 0.200 0.743
P 0.699 0.026 0.336
P 0.719 0.709 0.835
O 0.031 0.175 0.687
O 0.032 0.562 0.199
O 0.053 0.183 0.166
O 0.082 0.293 0.428
O 0.085 0.513 0.680
O 0.096 0.450 0.947
O 0.225 0.805 0.132
O 0.243 0.018 0.906
O 0.260 0.942 0.649
O 0.284 0.718 0.405
O 0.312 0.060 0.391
O 0.326 0.677 0.895
O 0.402 0.524 0.233
O 0.418 0.217 0.766
O 0.565 0.713 0.676
O 0.567 0.022 0.167
O 0.650 0.031 0.673
O 0.651 0.883 0.424
O 0.662 0.707 0.177
O 0.678 0.345 0.651
O 0.682 0.393 0.146
O 0.685 0.199 0.397
O 0.699 0.538 0.897
O 0.715 0.856 0.939
O 0.773 0.526 0.407
O 0.799 0.198 0.905
O 0.936 0.000 0.340
O 0.952 0.728 0.826
```

Calculated values
Formation energy from the elements, kJ/mol of atoms: -213.19
Energy relative to the lowest polymorph listed for this composition, meV per atom: 0
Spin magnetization, μB per formula unit: 14.1

MgCo2P2O8 | PBE with a Hubbard U | optimized geometry Values from VASP.

Structure (Quantum ESPRESSO input):
```
&SYSTEM
  ibrav = 0, nat = 52, ntyp = 4
/
ATOMIC_SPECIES
Mg 24.30 Mg.upf
Co 58.93 Co.upf
P 30.97 P.upf
O 16.00 O.upf
CELL_PARAMETERS angstrom
8.423 -2.542 0.000
8.423 2.542 0.000
-8.374 0.000 14.190
ATOMIC_POSITIONS crystal
Mg 0.181 0.267 0.124
Mg 0.267 0.181 0.624
Mg 0.733 0.819 0.376
Mg 0.819 0.733 0.876
Co 0.000 0.000 0.000
Co 0.000 0.000 0.500
Co 0.307 0.693 0.250
Co 0.329 0.431 0.035
Co 0.431 0.329 0.535
Co 0.569 0.671 0.465
Co 0.671 0.569 0.965
Co 0.693 0.307 0.750
P 0.112 0.212 0.390
P 0.212 0.112 0.890
P 0.367 0.427 0.357
P 0.427 0.367 0.857
P 0.573 0.633 0.143
P 0.633 0.573 0.643
P 0.788 0.888 0.110
P 0.888 0.788 0.610
O 0.060 0.128 0.790
O 0.093 0.688 0.399
O 0.100 0.159 0.961
O 0.128 0.060 0.290
O 0.159 0.100 0.461
O 0.162 0.345 0.918
O 0.176 0.468 0.601
O 0.228 0.600 0.933
O 0.285 0.338 0.763
O 0.312 0.907 0.101
O 0.338 0.285 0.263
O 0.345 0.162 0.418
O 0.400 0.772 0.567
O 0.465 0.514 0.353
O 0.468 0.176 0.101
O 0.486 0.535 0.147
O 0.514 0.465 0.853
O 0.532 0.824 0.899
O 0.535 0.486 0.647
O 0.600 0.228 0.433
O 0.655 0.838 0.582
O 0.662 0.715 0.737
O 0.688 0.093 0.899
O 0.715 0.662 0.237
O 0.772 0.400 0.067
O 0.824 0.532 0.399
O 0.838 0.655 0.082
O 0.841 0.900 0.539
O 0.872 0.940 0.710
O 0.900 0.841 0.039
O 0.907 0.312 0.601
O 0.940 0.872 0.210
```

Calculated values
Formation energy from the elements, kJ/mol of atoms: -232.62
Energy relative to the lowest polymorph listed for this composition, meV per atom: 66
Spin magnetization, μB per formula unit: 6.0

MgCo2P2O10 | PBE with a Hubbard U | optimized geometry Values from VASP.

Structure (Quantum ESPRESSO input):
```
&SYSTEM
  ibrav = 0, nat = 30, ntyp = 4
/
ATOMIC_SPECIES
Mg 24.30 Mg.upf
Co 58.93 Co.upf
P 30.97 P.upf
O 16.00 O.upf
CELL_PARAMETERS angstrom
0.000 5.485 8.193
3.535 0.000 8.193
3.535 5.485 0.000
ATOMIC_POSITIONS crystal
Mg 0.125 0.125 0.125
Mg 0.875 0.875 0.875
Co 0.000 0.500 0.500
Co 0.500 0.000 0.500
Co 0.500 0.500 0.000
Co 0.500 0.500 0.500
P 0.083 0.083 0.667
P 0.333 0.333 0.917
P 0.667 0.667 0.083
P 0.917 0.917 0.333
O 0.055 0.220 0.467
O 0.113 0.434 0.161
O 0.161 0.792 0.113
O 0.208 0.839 0.566
O 0.220 0.055 0.758
O 0.242 0.533 0.780
O 0.292 0.292 0.458
O 0.434 0.113 0.792
O 0.458 0.458 0.292
O 0.467 0.758 0.055
O 0.533 0.242 0.945
O 0.542 0.542 0.708
O 0.566 0.887 0.208
O 0.708 0.708 0.542
O 0.758 0.467 0.220
O 0.780 0.945 0.242
O 0.792 0.161 0.434
O 0.839 0.208 0.887
O 0.887 0.566 0.839
O 0.945 0.780 0.533
```

Calculated values
Formation energy from the elements, kJ/mol of atoms: -193.64
Spin magnetization, μB per formula unit: 4.0